Material: CrFeP2
Method: DFT, PBE
State: relaxed

The structure in CIF format:
```
data_CrFeP2
_cell_length_a 3.068
_cell_length_b 5.897
_cell_length_c 5.273
_cell_angle_alpha 90.00
_cell_angle_beta 90.00
_cell_angle_gamma 90.00
_symmetry_space_group_name_H-M 'P m c 21'
_symmetry_Int_Tables_number 26
loop_
_symmetry_equiv_pos_as_xyz
'x,y,z'
'-x,-y,z+1/2'
'-x,y,z'
'x,-y,z+1/2'
loop_
_atom_site_label
_atom_site_fract_x
_atom_site_fract_y
_atom_site_fract_z
Cr1 0.000 0.051 0.000
Fe1 0.500 0.445 0.011
P1 0.000 0.323 0.316
P2 0.500 0.190 0.694
```

- calculated total energy (eV/atom) = -7.79
- crystal system = orthorhombic
- magnetization (μB per formula unit) = 2.00

Material: CrFeS4
Method: DFT, PBE
State: relaxed

The structure in CIF format:
```
data_CrFeS4
_cell_length_a 6.747
_cell_length_b 6.842
_cell_length_c 9.569
_cell_angle_alpha 90.00
_cell_angle_beta 90.00
_cell_angle_gamma 90.00
_symmetry_space_group_name_H-M 'I m m a'
_symmetry_Int_Tables_number 74
_symmetry_space_group_name_Hall '-I 2b 2'
loop_
_atom_site_label
_atom_site_fract_x
_atom_site_fract_y
_atom_site_fract_z
Cr1 0.000 0.000 0.000
Fe1 0.000 0.250 0.374
S1 0.000 0.014 0.243
S2 0.241 0.250 0.995
```

- corrected total energy (MP2020 scheme) (eV/atom) = -6.33
- crystal system = orthorhombic
- magnetization (μB per formula unit) = 2.98

Material: CrFe3Sb4
Method: DFT, PBE
State: relaxed

The structure in CIF format:
```
data_CrFe3Sb4
_cell_length_a 3.9901
_cell_length_b 3.9901
_cell_length_c 10.4040
_cell_angle_alpha 90.00
_cell_angle_beta 90.00
_cell_angle_gamma 120.00
_symmetry_space_group_name_H-M 'P -3 m 1'
_symmetry_Int_Tables_number 164
_symmetry_space_group_name_Hall '-P 3 2"'
loop_
_atom_site_label
_atom_site_fract_x
_atom_site_fract_y
_atom_site_fract_z
Cr1 0.0000 0.0000 0.0000
Fe1 0.0000 0.0000 0.2604
Fe2 0.0000 0.0000 0.5000
Sb1 0.3333 0.6667 0.3759
Sb2 0.3333 0.6667 0.8598
```

- corrected total energy (MP2020 scheme) (eV/atom) = -6.49
- crystal system = trigonal
- magnetization (μB per formula unit) = 5.30

What is the magnetization in the second record?
2.98 μB per formula unit